Record 1
DFT (meta-GGA r2SCAN) results for a relaxed LiAc2Tl crystal.

Structure (CIF):
```
data_LiAc2Tl
_cell_length_a 5.793
_cell_length_b 5.793
_cell_length_c 5.793
_cell_angle_alpha 60.00
_cell_angle_beta 60.00
_cell_angle_gamma 60.00
_symmetry_space_group_name_H-M 'P 1'
_symmetry_Int_Tables_number 1
loop_
_symmetry_equiv_pos_as_xyz
'x,y,z'
loop_
_atom_site_label
_atom_site_type_symbol
_atom_site_fract_x
_atom_site_fract_y
_atom_site_fract_z
_atom_site_occupancy
Li1 Li 0.000 0.000 0.000 1
Ac1 Ac 0.250 0.250 0.250 1
Ac2 Ac 0.750 0.750 0.750 1
Tl1 Tl 0.500 0.500 0.500 1
```

## Properties
Final energy in eV/atom: -48.46
Magnetic moment in μB/cell: 0.01
DFT formation energy in eV per atom: -0.25


Record 2
DFT (meta-GGA r2SCAN) results for a relaxed US2O9 crystal.

Structure (CIF):
```
data_US2O9
_cell_length_a 6.507
_cell_length_b 6.837
_cell_length_c 8.010
_cell_angle_alpha 87.54
_cell_angle_beta 78.72
_cell_angle_gamma 75.24
_symmetry_space_group_name_H-M 'P 1'
_symmetry_Int_Tables_number 1
loop_
_symmetry_equiv_pos_as_xyz
'x,y,z'
loop_
_atom_site_label
_atom_site_type_symbol
_atom_site_fract_x
_atom_site_fract_y
_atom_site_fract_z
_atom_site_occupancy
U1 U 0.205 0.199 0.253 1
U2 U 0.795 0.801 0.747 1
S1 S 0.019 0.749 0.149 1
S2 S 0.394 0.260 0.644 1
S3 S 0.606 0.740 0.356 1
S4 S 0.981 0.251 0.851 1
O1 O 0.020 0.288 0.017 1
O2 O 0.035 0.793 0.597 1
O3 O 0.101 0.565 0.236 1
O4 O 0.143 0.896 0.145 1
O5 O 0.208 0.140 0.738 1
O6 O 0.334 0.318 0.481 1
O7 O 0.385 0.422 0.752 1
O8 O 0.415 0.908 0.374 1
O9 O 0.446 0.193 0.103 1
O10 O 0.554 0.807 0.897 1
O11 O 0.585 0.092 0.626 1
O12 O 0.615 0.578 0.248 1
O13 O 0.666 0.682 0.519 1
O14 O 0.792 0.860 0.262 1
O15 O 0.857 0.104 0.855 1
O16 O 0.899 0.435 0.764 1
O17 O 0.965 0.207 0.403 1
O18 O 0.980 0.712 0.983 1
```

## Properties
Final energy in eV/atom: -14.47
Magnetic moment in μB/cell: 0.00
DFT formation energy in eV per atom: -1.99


Record 3
DFT (meta-GGA r2SCAN) results for a relaxed Ir crystal.

Structure (CIF):
```
data_Ir
_cell_length_a 2.725
_cell_length_b 2.725
_cell_length_c 2.725
_cell_angle_alpha 60.00
_cell_angle_beta 60.00
_cell_angle_gamma 60.00
_symmetry_space_group_name_H-M 'P 1'
_symmetry_Int_Tables_number 1
loop_
_symmetry_equiv_pos_as_xyz
'x,y,z'
loop_
_atom_site_label
_atom_site_type_symbol
_atom_site_fract_x
_atom_site_fract_y
_atom_site_fract_z
_atom_site_occupancy
Ir1 Ir 0.000 0.000 0.000 1
```

## Properties
Final energy in eV/atom: -52.36
Magnetic moment in μB/cell: 0.00
DFT formation energy in eV per atom: 0.00


Record 4
DFT (meta-GGA r2SCAN) results for a relaxed EuSbAu crystal.

Structure (CIF):
```
data_EuSbAu
_cell_length_a 4.696
_cell_length_b 4.696
_cell_length_c 8.489
_cell_angle_alpha 90.00
_cell_angle_beta 90.00
_cell_angle_gamma 120.00
_symmetry_space_group_name_H-M 'P 1'
_symmetry_Int_Tables_number 1
loop_
_symmetry_equiv_pos_as_xyz
'x,y,z'
loop_
_atom_site_label
_atom_site_type_symbol
_atom_site_fract_x
_atom_site_fract_y
_atom_site_fract_z
_atom_site_occupancy
Eu1 Eu 0.000 0.000 0.000 1
Eu2 Eu 0.000 0.000 0.500 1
Sb1 Sb 0.333 0.667 0.250 1
Sb2 Sb 0.667 0.333 0.750 1
Au1 Au 0.333 0.667 0.750 1
Au2 Au 0.667 0.333 0.250 1
```

## Properties
Final energy in eV/atom: -39.28
Magnetic moment in μB/cell: 14.00
DFT formation energy in eV per atom: -1.01


Record 5
DFT (meta-GGA r2SCAN) results for a relaxed Na5GeP3 crystal.

Structure (CIF):
```
data_Na5GeP3
_cell_length_a 8.020
_cell_length_b 7.324
_cell_length_c 15.340
_cell_angle_alpha 90.00
_cell_angle_beta 121.46
_cell_angle_gamma 90.00
_symmetry_space_group_name_H-M 'P 1'
_symmetry_Int_Tables_number 1
loop_
_symmetry_equiv_pos_as_xyz
'x,y,z'
loop_
_atom_site_label
_atom_site_type_symbol
_atom_site_fract_x
_atom_site_fract_y
_atom_site_fract_z
_atom_site_occupancy
Na1 Na 0.062 0.006 0.242 1
Na2 Na 0.062 0.494 0.742 1
Na3 Na 0.252 0.533 0.584 1
Na4 Na 0.252 0.967 0.084 1
Na5 Na 0.333 0.648 0.258 1
Na6 Na 0.333 0.852 0.758 1
Na7 Na 0.341 0.163 0.919 1
Na8 Na 0.341 0.337 0.419 1
Na9 Na 0.414 0.017 0.588 1
Na10 Na 0.414 0.483 0.088 1
Na11 Na 0.586 0.517 0.912 1
Na12 Na 0.586 0.983 0.412 1
Na13 Na 0.659 0.663 0.581 1
Na14 Na 0.659 0.837 0.081 1
Na15 Na 0.667 0.148 0.242 1
Na16 Na 0.667 0.352 0.742 1
Na17 Na 0.748 0.033 0.916 1
Na18 Na 0.748 0.467 0.416 1
Na19 Na 0.938 0.506 0.258 1
Na20 Na 0.938 0.994 0.758 1
Ge1 Ge 0.015 0.143 0.587 1
Ge2 Ge 0.015 0.357 0.087 1
Ge3 Ge 0.985 0.643 0.913 1
Ge4 Ge 0.985 0.857 0.413 1
P1 P 0.021 0.187 0.434 1
P2 P 0.021 0.313 0.934 1
P3 P 0.263 0.737 0.419 1
P4 P 0.263 0.763 0.919 1
P5 P 0.313 0.236 0.727 1
P6 P 0.313 0.264 0.227 1
P7 P 0.687 0.736 0.773 1
P8 P 0.687 0.764 0.273 1
P9 P 0.737 0.237 0.081 1
P10 P 0.737 0.263 0.581 1
P11 P 0.979 0.687 0.066 1
P12 P 0.979 0.813 0.566 1
```

## Properties
Final energy in eV/atom: -7.00
Magnetic moment in μB/cell: 0.00
DFT formation energy in eV per atom: -0.48


Record 6
DFT (meta-GGA r2SCAN) results for a relaxed TlTe3Mo3 crystal.

Structure (CIF):
```
data_TlTe3Mo3
_cell_length_a 9.680
_cell_length_b 9.680
_cell_length_c 4.599
_cell_angle_alpha 90.00
_cell_angle_beta 90.00
_cell_angle_gamma 120.00
_symmetry_space_group_name_H-M 'P 1'
_symmetry_Int_Tables_number 1
loop_
_symmetry_equiv_pos_as_xyz
'x,y,z'
loop_
_atom_site_label
_atom_site_type_symbol
_atom_site_fract_x
_atom_site_fract_y
_atom_site_fract_z
_atom_site_occupancy
Tl1 Tl 0.333 0.667 0.250 1
Tl2 Tl 0.667 0.333 0.750 1
Te1 Te 0.061 0.364 0.750 1
Te2 Te 0.303 0.939 0.750 1
Te3 Te 0.364 0.303 0.250 1
Te4 Te 0.636 0.697 0.750 1
Te5 Te 0.697 0.061 0.250 1
Te6 Te 0.939 0.636 0.250 1
Mo1 Mo 0.028 0.170 0.250 1
Mo2 Mo 0.141 0.972 0.250 1
Mo3 Mo 0.170 0.141 0.750 1
Mo4 Mo 0.830 0.859 0.250 1
Mo5 Mo 0.859 0.028 0.750 1
Mo6 Mo 0.972 0.830 0.750 1
```

## Properties
Final energy in eV/atom: -30.02
Magnetic moment in μB/cell: 0.00
DFT formation energy in eV per atom: -0.36


Record 7
DFT (meta-GGA r2SCAN) results for a relaxed Nd3Si6N11 crystal.

Structure (CIF):
```
data_Nd3Si6N11
_cell_length_a 10.081
_cell_length_b 10.081
_cell_length_c 4.857
_cell_angle_alpha 90.00
_cell_angle_beta 90.00
_cell_angle_gamma 90.00
_symmetry_space_group_name_H-M 'P 1'
_symmetry_Int_Tables_number 1
loop_
_symmetry_equiv_pos_as_xyz
'x,y,z'
loop_
_atom_site_label
_atom_site_type_symbol
_atom_site_fract_x
_atom_site_fract_y
_atom_site_fract_z
_atom_site_occupancy
Nd1 Nd 0.000 0.000 0.000 1
Nd2 Nd 0.182 0.318 0.016 1
Nd3 Nd 0.318 0.818 0.016 1
Nd4 Nd 0.500 0.500 0.000 1
Nd5 Nd 0.682 0.182 0.016 1
Nd6 Nd 0.818 0.682 0.016 1
Si1 Si 0.079 0.791 0.544 1
Si2 Si 0.117 0.617 0.054 1
Si3 Si 0.209 0.079 0.544 1
Si4 Si 0.291 0.579 0.544 1
Si5 Si 0.383 0.117 0.054 1
Si6 Si 0.421 0.291 0.544 1
Si7 Si 0.579 0.709 0.544 1
Si8 Si 0.617 0.883 0.054 1
Si9 Si 0.709 0.421 0.544 1
Si10 Si 0.791 0.921 0.544 1
Si11 Si 0.883 0.383 0.054 1
Si12 Si 0.921 0.209 0.544 1
N1 N 0.000 0.500 0.083 1
N2 N 0.076 0.770 0.191 1
N3 N 0.080 0.179 0.655 1
N4 N 0.153 0.653 0.708 1
N5 N 0.179 0.920 0.655 1
N6 N 0.230 0.076 0.191 1
N7 N 0.270 0.576 0.191 1
N8 N 0.321 0.420 0.655 1
N9 N 0.347 0.153 0.708 1
N10 N 0.420 0.679 0.655 1
N11 N 0.424 0.270 0.191 1
N12 N 0.500 0.000 0.083 1
N13 N 0.576 0.730 0.191 1
N14 N 0.580 0.321 0.655 1
N15 N 0.653 0.847 0.708 1
N16 N 0.679 0.580 0.655 1
N17 N 0.730 0.424 0.191 1
N18 N 0.770 0.924 0.191 1
N19 N 0.821 0.080 0.655 1
N20 N 0.847 0.347 0.708 1
N21 N 0.920 0.821 0.655 1
N22 N 0.924 0.230 0.191 1
```

## Properties
Final energy in eV/atom: -13.61
Magnetic moment in μB/cell: 0.00
DFT formation energy in eV per atom: -1.55


Record 8
DFT (meta-GGA r2SCAN) results for a relaxed NaPt2 crystal.

Structure (CIF):
```
data_NaPt2
_cell_length_a 5.307
_cell_length_b 5.307
_cell_length_c 5.307
_cell_angle_alpha 60.00
_cell_angle_beta 60.00
_cell_angle_gamma 60.00
_symmetry_space_group_name_H-M 'P 1'
_symmetry_Int_Tables_number 1
loop_
_symmetry_equiv_pos_as_xyz
'x,y,z'
loop_
_atom_site_label
_atom_site_type_symbol
_atom_site_fract_x
_atom_site_fract_y
_atom_site_fract_z
_atom_site_occupancy
Na1 Na 0.125 0.125 0.125 1
Na2 Na 0.875 0.875 0.875 1
Pt1 Pt 0.000 0.500 0.500 1
Pt2 Pt 0.500 0.000 0.500 1
Pt3 Pt 0.500 0.500 0.000 1
Pt4 Pt 0.500 0.500 0.500 1
```

## Properties
Final energy in eV/atom: -35.97
Magnetic moment in μB/cell: 0.00
DFT formation energy in eV per atom: -0.46


Record 9
DFT (meta-GGA r2SCAN) results for a relaxed Li2Mg crystal.

Structure (CIF):
```
data_Li2Mg
_cell_length_a 7.603
_cell_length_b 7.603
_cell_length_c 4.903
_cell_angle_alpha 90.00
_cell_angle_beta 90.00
_cell_angle_gamma 155.00
_symmetry_space_group_name_H-M 'P 1'
_symmetry_Int_Tables_number 1
loop_
_symmetry_equiv_pos_as_xyz
'x,y,z'
loop_
_atom_site_label
_atom_site_type_symbol
_atom_site_fract_x
_atom_site_fract_y
_atom_site_fract_z
_atom_site_occupancy
Li1 Li 0.092 0.908 0.750 1
Li2 Li 0.247 0.753 0.250 1
Li3 Li 0.753 0.247 0.750 1
Li4 Li 0.908 0.092 0.250 1
Mg1 Mg 0.423 0.577 0.750 1
Mg2 Mg 0.577 0.423 0.250 1
```

## Properties
Final energy in eV/atom: -3.01
Magnetic moment in μB/cell: 0.09
DFT formation energy in eV per atom: -0.03


- magnetic moment of number 2 (US2O9)?
  0.00 μB/cell


What did the third record say?
DFT (meta-GGA r2SCAN) results for a relaxed Ir crystal.

Structure (CIF):
```
data_Ir
_cell_length_a 2.725
_cell_length_b 2.725
_cell_length_c 2.725
_cell_angle_alpha 60.00
_cell_angle_beta 60.00
_cell_angle_gamma 60.00
_symmetry_space_group_name_H-M 'P 1'
_symmetry_Int_Tables_number 1
loop_
_symmetry_equiv_pos_as_xyz
'x,y,z'
loop_
_atom_site_label
_atom_site_type_symbol
_atom_site_fract_x
_atom_site_fract_y
_atom_site_fract_z
_atom_site_occupancy
Ir1 Ir 0.000 0.000 0.000 1
```

## Properties
Final energy in eV/atom: -52.36
Magnetic moment in μB/cell: 0.00
DFT formation energy in eV per atom: 0.00


- Which value of DFT formation energy does entry 1 give?
  -0.25 eV per atom


- Which of these has the lowest DFT formation energy?
  US2O9